Entry 1:
Entry from the Materials Project database: a relaxed CaTi4O8 crystal (PBE).

Values from the calculation:
* energy above the most stable polymorph in this dataset: 0 kJ/mol of formula units
* formation energy from the elements: -4250.5 kJ/mol of formula units
* total energy: -111.73 eV for the cell shown
* corrected total energy (MP2020 scheme): -9.02 eV per atom

Lattice parameters (Å, degrees): 6.639 6.639 6.639 53.15 53.15 53.15
Fractional coordinates of all 13 atoms:
Ca (0.000, 0.000, 0.000)
Ti (0.000, 0.000, 0.500)
Ti (0.000, 0.500, 0.000)
Ti (0.500, 0.000, 0.000)
Ti (0.500, 0.500, 0.500)
O (0.223, 0.735, 0.735)
O (0.225, 0.225, 0.225)
O (0.265, 0.265, 0.777)
O (0.265, 0.777, 0.265)
O (0.735, 0.223, 0.735)
O (0.735, 0.735, 0.223)
O (0.775, 0.775, 0.775)
O (0.777, 0.265, 0.265)

Entry 2:
Entry from the Materials Project database: a relaxed PrZnBi2O6 crystal (PBE).

Values from the calculation:
* energy above the most stable polymorph in this dataset: 280 kJ/mol of formula units
* formation energy from the elements: -1736.4 kJ/mol of formula units
* total energy: -229.53 eV for the cell shown
* corrected total energy (MP2020 scheme): -6.15 eV per atom

Lattice parameters (Å, degrees): 8.451 8.451 8.451 90.00 90.00 90.00
Fractional coordinates of all 40 atoms:
Pr (0.000, 0.000, 0.000)
Pr (0.000, 0.500, 0.500)
Pr (0.500, 0.000, 0.500)
Pr (0.500, 0.500, 0.000)
Zn (0.000, 0.000, 0.500)
Zn (0.000, 0.500, 0.000)
Zn (0.500, 0.000, 0.000)
Zn (0.500, 0.500, 0.500)
Bi (0.250, 0.250, 0.250)
Bi (0.250, 0.250, 0.750)
Bi (0.250, 0.750, 0.250)
Bi (0.250, 0.750, 0.750)
Bi (0.750, 0.250, 0.250)
Bi (0.750, 0.250, 0.750)
Bi (0.750, 0.750, 0.250)
Bi (0.750, 0.750, 0.750)
O (0.051, 0.570, 0.765)
O (0.051, 0.930, 0.735)
O (0.070, 0.235, 0.551)
O (0.070, 0.265, 0.949)
O (0.235, 0.551, 0.070)
O (0.235, 0.949, 0.430)
O (0.265, 0.551, 0.430)
O (0.265, 0.949, 0.070)
O (0.430, 0.235, 0.949)
O (0.430, 0.265, 0.551)
O (0.449, 0.570, 0.735)
O (0.449, 0.930, 0.765)
O (0.551, 0.070, 0.235)
O (0.551, 0.430, 0.265)
O (0.570, 0.735, 0.449)
O (0.570, 0.765, 0.051)
O (0.735, 0.051, 0.930)
O (0.735, 0.449, 0.570)
O (0.765, 0.051, 0.570)
O (0.765, 0.449, 0.930)
O (0.930, 0.735, 0.051)
O (0.930, 0.765, 0.449)
O (0.949, 0.070, 0.265)
O (0.949, 0.430, 0.235)

Entry 3:
Entry from the Materials Project database: a relaxed Sr13Hg58 crystal (PBE).

Values from the calculation:
* formation energy from the elements: -1973.3 kJ/mol of formula units
* total energy: -120.06 eV for the cell shown

Lattice parameters (Å, degrees): 17.077 17.077 15.775 90.00 90.00 120.00
Fractional coordinates of all 142 atoms:
Sr (0.000, 0.000, 0.000)
Sr (0.000, 0.000, 0.500)
Sr (0.081, 0.541, 0.250)
Sr (0.125, 0.250, 0.250)
Sr (0.125, 0.875, 0.250)
Sr (0.208, 0.415, 0.557)
Sr (0.208, 0.415, 0.943)
Sr (0.208, 0.792, 0.557)
Sr (0.208, 0.792, 0.943)
Sr (0.250, 0.125, 0.750)
Sr (0.415, 0.208, 0.057)
Sr (0.415, 0.208, 0.443)
Sr (0.459, 0.541, 0.250)
Sr (0.459, 0.919, 0.250)
Sr (0.541, 0.081, 0.750)
Sr (0.541, 0.459, 0.750)
Sr (0.585, 0.792, 0.557)
Sr (0.585, 0.792, 0.943)
Sr (0.750, 0.875, 0.250)
Sr (0.792, 0.208, 0.057)
Sr (0.792, 0.208, 0.443)
Sr (0.792, 0.585, 0.057)
Sr (0.792, 0.585, 0.443)
Sr (0.875, 0.125, 0.750)
Sr (0.875, 0.750, 0.750)
Sr (0.919, 0.459, 0.750)
Hg (0.000, 0.000, 0.250)
Hg (0.000, 0.000, 0.750)
Hg (0.000, 0.199, 0.000)
Hg (0.000, 0.199, 0.500)
Hg (0.000, 0.500, 0.000)
Hg (0.000, 0.500, 0.500)
Hg (0.000, 0.801, 0.000)
Hg (0.000, 0.801, 0.500)
Hg (0.040, 0.365, 0.105)
Hg (0.040, 0.365, 0.395)
Hg (0.040, 0.675, 0.105)
Hg (0.040, 0.675, 0.395)
Hg (0.080, 0.351, 0.750)
Hg (0.080, 0.728, 0.750)
Hg (0.093, 0.186, 0.656)
Hg (0.093, 0.186, 0.844)
Hg (0.093, 0.907, 0.656)
Hg (0.093, 0.907, 0.844)
Hg (0.124, 0.562, 0.649)
Hg (0.124, 0.562, 0.851)
Hg (0.186, 0.093, 0.156)
Hg (0.186, 0.093, 0.344)
Hg (0.199, 0.000, 0.000)
Hg (0.199, 0.000, 0.500)
Hg (0.199, 0.199, 0.000)
Hg (0.199, 0.199, 0.500)
Hg (0.200, 0.600, 0.056)
Hg (0.200, 0.600, 0.444)
Hg (0.234, 0.468, 0.160)
Hg (0.234, 0.468, 0.340)
Hg (0.234, 0.766, 0.160)
Hg (0.234, 0.766, 0.340)
Hg (0.266, 0.532, 0.750)
Hg (0.266, 0.734, 0.750)
Hg (0.272, 0.351, 0.750)
Hg (0.272, 0.920, 0.750)
Hg (0.325, 0.365, 0.105)
Hg (0.325, 0.365, 0.395)
Hg (0.325, 0.960, 0.105)
Hg (0.325, 0.960, 0.395)
Hg (0.333, 0.667, 0.250)
Hg (0.333, 0.667, 0.592)
Hg (0.333, 0.667, 0.908)
Hg (0.351, 0.080, 0.250)
Hg (0.351, 0.272, 0.250)
Hg (0.365, 0.040, 0.605)
Hg (0.365, 0.040, 0.895)
Hg (0.365, 0.325, 0.605)
Hg (0.365, 0.325, 0.895)
Hg (0.400, 0.600, 0.056)
Hg (0.400, 0.600, 0.444)
Hg (0.400, 0.800, 0.056)
Hg (0.400, 0.800, 0.444)
Hg (0.438, 0.562, 0.649)
Hg (0.438, 0.562, 0.851)
Hg (0.438, 0.876, 0.649)
Hg (0.438, 0.876, 0.851)
Hg (0.468, 0.234, 0.660)
Hg (0.468, 0.234, 0.840)
Hg (0.468, 0.734, 0.750)
Hg (0.500, 0.000, 0.000)
Hg (0.500, 0.000, 0.500)
Hg (0.500, 0.500, 0.000)
Hg (0.500, 0.500, 0.500)
Hg (0.532, 0.266, 0.250)
Hg (0.532, 0.766, 0.160)
Hg (0.532, 0.766, 0.340)
Hg (0.562, 0.124, 0.149)
Hg (0.562, 0.124, 0.351)
Hg (0.562, 0.438, 0.149)
Hg (0.562, 0.438, 0.351)
Hg (0.600, 0.200, 0.556)
Hg (0.600, 0.200, 0.944)
Hg (0.600, 0.400, 0.556)
Hg (0.600, 0.400, 0.944)
Hg (0.635, 0.675, 0.105)
Hg (0.635, 0.675, 0.395)
Hg (0.635, 0.960, 0.105)
Hg (0.635, 0.960, 0.395)
Hg (0.649, 0.728, 0.750)
Hg (0.649, 0.920, 0.750)
Hg (0.667, 0.333, 0.092)
Hg (0.667, 0.333, 0.408)
Hg (0.667, 0.333, 0.750)
Hg (0.675, 0.040, 0.605)
Hg (0.675, 0.040, 0.895)
Hg (0.675, 0.635, 0.605)
Hg (0.675, 0.635, 0.895)
Hg (0.728, 0.080, 0.250)
Hg (0.728, 0.649, 0.250)
Hg (0.734, 0.266, 0.250)
Hg (0.734, 0.468, 0.250)
Hg (0.766, 0.234, 0.660)
Hg (0.766, 0.234, 0.840)
Hg (0.766, 0.532, 0.660)
Hg (0.766, 0.532, 0.840)
Hg (0.800, 0.400, 0.556)
Hg (0.800, 0.400, 0.944)
Hg (0.801, 0.000, 0.000)
Hg (0.801, 0.000, 0.500)
Hg (0.801, 0.801, 0.000)
Hg (0.801, 0.801, 0.500)
Hg (0.814, 0.907, 0.656)
Hg (0.814, 0.907, 0.844)
Hg (0.876, 0.438, 0.149)
Hg (0.876, 0.438, 0.351)
Hg (0.907, 0.093, 0.156)
Hg (0.907, 0.093, 0.344)
Hg (0.907, 0.814, 0.156)
Hg (0.907, 0.814, 0.344)
Hg (0.920, 0.272, 0.250)
Hg (0.920, 0.649, 0.250)
Hg (0.960, 0.325, 0.605)
Hg (0.960, 0.325, 0.895)
Hg (0.960, 0.635, 0.605)
Hg (0.960, 0.635, 0.895)